# 1
Material: NbPO5
Method: DFT, PBE-GGA
State: relaxed

Cell: 6.5577 7.5271 7.6624 Å, 90.00 90.00 90.00°
With the nearest neighbours (Å) after each atom.
Positions (direct):
Nb  0.2500  0.7401  0.1544  2 O 1.81-2.00
Nb  0.7500  0.2401  0.3456  2 O 1.81-2.00
Nb  0.2500  0.7599  0.6544  2 O 1.81-2.00
Nb  0.7500  0.2599  0.8456  2 O 1.81-2.00
P  0.7500  0.6232  0.1218  4 O 1.54-1.56
P  0.2500  0.1232  0.3782  4 O 1.54-1.56
P  0.7500  0.8768  0.6218  4 O 1.54-1.56
P  0.2500  0.3768  0.8782  4 O 1.54-1.56
O  0.2500  0.4898  0.0476  1 P 1.55
O  0.7500  0.1746  0.1183  1 Nb 1.81
O  0.5588  0.7414  0.1274  1 P 1.54
O  0.9412  0.7414  0.1274  1 P 1.54
O  0.2500  0.9988  0.2150  1 P 1.56
O  0.7500  0.4988  0.2850  1 P 1.56
O  0.0588  0.2414  0.3726  1 P 1.54
O  0.4412  0.2414  0.3726  1 P 1.54
O  0.2500  0.6746  0.3817  1 Nb 1.81
O  0.7500  0.9898  0.4524  1 P 1.55
O  0.2500  0.0102  0.5476  1 P 1.55
O  0.7500  0.3254  0.6183  1 Nb 1.81
O  0.5588  0.7586  0.6274  1 P 1.54
O  0.9412  0.7586  0.6274  1 P 1.54
O  0.2500  0.5012  0.7150  1 P 1.56
O  0.7500  0.0012  0.7850  1 P 1.56
O  0.0588  0.2586  0.8726  1 P 1.54
O  0.4412  0.2586  0.8726  1 P 1.54
O  0.2500  0.8254  0.8817  1 Nb 1.81
O  0.7500  0.5102  0.9524  1 P 1.55

Output
Offset from the most stable computed form (meV/atom): 21
Total magnetic moment (μB/cell): 0.00
Space-group type: Pnma, No. 62
Total energy after the MP2020 corrections (eV/atom): -8.6590
Energy relative to the elements (meV per atom): -2908
Energy (eV/cell): -228.71

# 2
Material: Zr3TiPb4O12
Method: DFT, PBE-GGA
State: relaxed

Cell: 11.7282 4.2502 5.9370 Å, 88.81 90.00 90.00°
With the nearest neighbours (Å) after each atom.
Positions (direct):
Zr  0.2457  0.0312  0.5272  6 O 2.04-2.25
Zr  0.5000  0.0309  0.0292  6 O 2.05-2.23
Zr  0.7543  0.0312  0.5272  6 O 2.04-2.25
Ti  0.0000  0.0537  0.0309  3 O 1.81-1.91
Pb  0.5000  0.5831  0.5783  3 O 2.42-2.45
Pb  0.7597  0.5870  0.0719  3 O 2.43-2.49
Pb  0.0000  0.5807  0.5864  3 O 2.43-2.48
Pb  0.2403  0.5870  0.0719  3 O 2.43-2.49
O  0.6205  0.9871  0.7453  2 Zr 2.04-2.21
O  0.8782  0.9873  0.2392  1 Ti 1.91
O  0.1157  0.9792  0.7647  1 Zr 2.08, 1 Ti 2.11
O  0.3652  0.9854  0.2487  2 Zr 2.06-2.18
O  0.3795  0.9871  0.7453  2 Zr 2.04-2.21
O  0.6348  0.9854  0.2487  2 Zr 2.06-2.18
O  0.8843  0.9792  0.7647  1 Zr 2.08, 1 Ti 2.11
O  0.1218  0.9873  0.2392  1 Ti 1.91
O  0.5000  0.5115  0.9842  2 Zr 2.05-2.23
O  0.7583  0.5122  0.4874  2 Zr 2.05-2.22
O  0.0000  0.4792  0.0001  1 Ti 1.81
O  0.2417  0.5122  0.4874  2 Zr 2.05-2.22

Output
Offset from the most stable computed form (meV/atom): 0
Total magnetic moment (μB/cell): 0.00
Space-group type: Pm, No. 6
Total energy after the MP2020 corrections (eV/atom): -8.2002
Energy relative to the elements (meV per atom): -2812
Energy (eV/cell): -155.76

# 3
Material: KLuC2O6
Method: DFT, PBE-GGA
State: relaxed

Cell: 6.3237 6.3237 6.8625 Å, 76.27 76.27 96.01°
With the nearest neighbours (Å) after each atom.
Positions (direct):
K  0.6203  0.3797  0.7500  8 O 2.77-3.10
K  0.3797  0.6203  0.2500  8 O 2.77-3.10
Lu  0.0955  0.9045  0.7500  8 O 2.24-2.45
Lu  0.9045  0.0955  0.2500  8 O 2.24-2.45
C  0.6457  0.8905  0.7560  3 O 1.28-1.32
C  0.3543  0.1095  0.2440  3 O 1.28-1.32
C  0.1095  0.3543  0.7440  3 O 1.28-1.32
C  0.8905  0.6457  0.2560  3 O 1.28-1.32
O  0.4397  0.8953  0.7788  1 C 1.28
O  0.5603  0.1047  0.2212  1 C 1.28
O  0.1047  0.5603  0.7212  1 C 1.28
O  0.8953  0.4397  0.2788  1 C 1.28
O  0.7187  0.7501  0.8835  1 C 1.29
O  0.2813  0.2499  0.1165  1 C 1.29
O  0.2499  0.2813  0.6165  1 C 1.29
O  0.7501  0.7187  0.3835  1 C 1.29
O  0.7990  0.0347  0.6043  1 C 1.32
O  0.2010  0.9653  0.3957  1 C 1.32
O  0.9653  0.2010  0.8957  1 C 1.32
O  0.0347  0.7990  0.1043  1 C 1.32

Output
Total magnetic moment (μB/cell): 0.00
Space-group type: C2/c, No. 15
Total energy after the MP2020 corrections (eV/atom): -7.9540
Energy relative to the elements (meV per atom): -2576
Energy (eV/cell): -150.84

# 4
Material: Na2SO4
Method: DFT, PBE-GGA
State: relaxed

Cell: 5.8335 5.8985 7.0557 Å, 86.91 68.62 86.37°
With the nearest neighbours (Å) after each atom.
Positions (direct):
Na  0.9074  0.4587  0.9200  4 O 2.28-2.49
Na  0.2708  0.6166  0.3349  2 O 2.23-2.43
Na  0.8696  0.9925  0.1797  4 O 2.33-2.39
Na  0.6757  0.9815  0.7062  4 O 2.29-2.54
S  0.3595  0.1962  0.1147  3 O 1.52-1.56
S  0.6827  0.4989  0.4781  3 O 1.52-1.54
O  0.7323  0.6153  0.2669  1 S 1.54
O  0.0712  0.8426  0.8085  1 O 1.27
O  0.2728  0.9543  0.1769  1 S 1.53
O  0.2476  0.2815  0.9580  1 S 1.52
O  0.6419  0.1649  0.9960  1 S 1.56
O  0.8473  0.6103  0.5720  1 S 1.54
O  0.7688  0.2508  0.4470  1 S 1.52
O  0.2862  0.8478  0.6752  1 O 1.27

Output
Offset from the most stable computed form (meV/atom): 743
Total magnetic moment (μB/cell): 2.00
Space-group type: P1, No. 1
Total energy after the MP2020 corrections (eV/atom): -5.2636
Energy relative to the elements (meV per atom): -1467
Energy (eV/cell): -72.40

# 5
Material: HoGa6Fe6
Method: DFT, PBE-GGA
State: relaxed

Cell: 5.0274 6.5594 6.5594 Å, 80.45 67.47 67.47°
With the nearest neighbours (Å) after each atom.
Positions (direct):
Ho  0.0000  0.0000  0.0000  8 Ga 2.83-2.97
Ga  0.6775  0.8225  0.8225  6 Fe 2.54-2.59
Ga  0.3225  0.1775  0.1775  6 Fe 2.54-2.59
Ga  0.3427  0.6573  0.6573  6 Fe 2.55-2.59, 1 Ga 2.73
Ga  0.6573  0.3427  0.3427  6 Fe 2.55-2.59, 1 Ga 2.73
Ga  0.0000  0.6657  0.3343  6 Fe 2.60-2.62, 1 Ga 2.81, 1 Ho 2.83
Ga  0.0000  0.3343  0.6657  6 Fe 2.60-2.62, 1 Ga 2.81, 1 Ho 2.83
Fe  0.0000  0.5000  0.0000  4 Fe 2.50-2.51, 6 Ga 2.54-2.60
Fe  0.5000  0.5000  0.0000  4 Fe 2.50-2.51, 6 Ga 2.54-2.60
Fe  0.0000  0.0000  0.5000  4 Fe 2.50-2.51, 6 Ga 2.54-2.60
Fe  0.5000  0.0000  0.5000  4 Fe 2.50-2.51, 6 Ga 2.54-2.60
Fe  0.5000  0.2453  0.7547  4 Fe 2.50, 6 Ga 2.55-2.62
Fe  0.5000  0.7547  0.2453  4 Fe 2.50, 6 Ga 2.55-2.62

Output
Offset from the most stable computed form (meV/atom): 0
Space-group type: Immm, No. 71
Energy relative to the elements (meV per atom): -322
Energy (eV/cell): -77.75

# 6
Material: K4BaSi3O9
Method: DFT, PBE-GGA
State: relaxed

Cell: 7.3324 7.3324 11.2904 Å, 90.00 90.00 111.77°
With the nearest neighbours (Å) after each atom.
Positions (direct):
K  0.4898  0.5102  0.0000  7 O 2.90-3.17
K  0.3273  0.7741  0.7500  5 O 2.75-2.92
K  0.9604  0.0396  0.0000  6 O 2.66-2.94
K  0.2259  0.6727  0.2500  5 O 2.75-2.92
K  0.9604  0.0396  0.5000  6 O 2.66-2.94
K  0.4898  0.5102  0.5000  7 O 2.90-3.17
K  0.7524  0.7654  0.2500  6 O 2.76-2.84
K  0.2346  0.2476  0.7500  6 O 2.76-2.84
Ba  0.7402  0.2660  0.7500  5 O 2.58-2.81
Ba  0.7340  0.2598  0.2500  5 O 2.58-2.81
Si  0.8078  0.7366  0.7500  4 O 1.61-1.68
Si  0.0191  0.5870  0.5271  4 O 1.62-1.69
Si  0.2634  0.1922  0.2500  4 O 1.61-1.68
Si  0.4130  0.9809  0.4729  4 O 1.62-1.69
Si  0.4130  0.9809  0.0271  4 O 1.62-1.69
Si  0.0191  0.5870  0.9729  4 O 1.62-1.69
O  0.0509  0.4000  0.9140  1 Si 1.62
O  0.2448  0.7552  0.0000  2 Si 1.69
O  0.3096  0.0757  0.3680  2 Si 1.68-1.69
O  0.6000  0.9491  0.4140  1 Si 1.62
O  0.9243  0.6904  0.8680  2 Si 1.68-1.69
O  0.4444  0.1132  0.5915  1 Si 1.62
O  0.4209  0.4168  0.2500  1 Si 1.62
O  0.8868  0.5556  0.4085  1 Si 1.62
O  0.8868  0.5556  0.0915  1 Si 1.62
O  0.6000  0.9491  0.0860  1 Si 1.62
O  0.0329  0.1553  0.2500  1 Si 1.61
O  0.2448  0.7552  0.5000  2 Si 1.69
O  0.5832  0.5791  0.7500  1 Si 1.62
O  0.3096  0.0757  0.1320  2 Si 1.68-1.69
O  0.4444  0.1132  0.9085  1 Si 1.62
O  0.9243  0.6904  0.6320  2 Si 1.68-1.69
O  0.0509  0.4000  0.5860  1 Si 1.62
O  0.8447  0.9671  0.7500  1 Si 1.61

Output
Offset from the most stable computed form (meV/atom): 0
Total magnetic moment (μB/cell): 0.00
Space-group type: Ama2, No. 40
Total energy after the MP2020 corrections (eV/atom): -6.8385
Energy relative to the elements (meV per atom): -2887
Energy (eV/cell): -220.14